# 1
Material: SmB4Ru4
Method: DFT, GGA-PBE
State: relaxed

Results
Its calculated total energy is -8.088 eV per atom. The calculated formation energy is -4.3 eV per formula unit.

Lattice parameters (Å, degrees): 7.5347 7.5347 15.0956 90.00 90.00 90.00
Last column: nearest neighbours and their distance in Å.
Space group I4_1/acd (No. 142, origin choice 2)
Asymmetric unit:
Sm: 0.0000 0.2500 0.1250 x8  12 Ru 2.95-3.24, 12 B 2.99-3.23
B: 0.1409 0.0823 0.2932 x32  1 B 1.80
Ru: 0.1155 0.1034 0.4368 x32  5 B 2.16-2.31

---

# 2
Material: Sr2B8Ru7
Method: DFT, GGA-PBE
State: relaxed

Results
Its calculated total energy is -7.542 eV per atom. The calculated formation energy is -6.5 eV per formula unit.

Lattice parameters (Å, degrees): 6.4674 6.4674 10.2133 90.00 90.00 90.00
Last column: nearest neighbours and their distance in Å.
Space group P4_2/m (No. 84)
Asymmetric unit:
Sr: 0.1095 0.7318 0.0000 x4  11 Ru 3.12-3.46, 10 B 3.14-3.38, 1 Sr 3.32
B: 0.0000 0.5000 0.4114 x4  3 B 1.79-1.81
B: 0.1022 0.7241 0.3310 x8  1 B 1.79
B: 0.5000 0.5000 0.1593 x4  1 B 1.85
Ru: 0.0000 0.0000 0.2500 x2  4 B 2.08
Ru: 0.2057 0.3944 0.2562 x8  6 B 2.14-2.36
Ru: 0.2874 0.5935 0.5000 x4  6 B 2.15-2.26

---

# 3
Material: TaBRu
Method: DFT, GGA-PBE
State: relaxed

Results
Its calculated total energy is -9.886 eV per atom. The calculated formation energy is -1.8 eV per formula unit.

Lattice parameters (Å, degrees): 10.8700 3.2184 6.3557 90.00 90.00 90.00
Last column: nearest neighbours and their distance in Å.
Space group Pmma (No. 51)
Asymmetric unit:
Ta: 0.0437 0.0000 0.2229 x4  5 B 2.40-2.66
Ta: 0.2500 0.0000 0.8551 x2  5 B 2.49-2.58, 6 Ru 2.73-2.76
B: 0.0849 0.5000 0.9510 x4  1 B 1.95
B: 0.2500 0.0000 0.4486 x2  6 Ru 2.25
Ru: 0.1249 0.5000 0.5742 x4  3 B 2.25-2.43
Ru: 0.2500 0.5000 0.2015 x2  4 B 2.25-2.40

---

# 4
Material: Ta7B8Ru6
Method: DFT, GGA-PBE
State: relaxed

Results
Its calculated total energy is -9.801 eV per atom. The calculated formation energy is -13.7 eV per formula unit.

Lattice parameters (Å, degrees): 9.5863 9.5863 3.1255 90.00 90.00 120.00
Last column: nearest neighbours and their distance in Å.
Space group P6/m (No. 175)
Asymmetric unit:
Ta: 0.0000 0.0000 0.0000 x1  12 B 2.43
Ta: 0.0860 0.7241 0.0000 x6  4 B 2.37-2.38
B: 0.0661 0.2188 0.5000 x6  2 B 1.86
B: 0.3333 0.6667 0.0000 x2  6 Ru 2.24
Ru: 0.1539 0.5135 0.5000 x6  2 B 2.24

---

# 5
Material: TaBRu
Method: DFT, GGA-PBE
State: relaxed

Results
Its calculated total energy is -9.900 eV per atom. The calculated formation energy is -1.9 eV per formula unit.

Lattice parameters (Å, degrees): 8.9677 15.6078 3.1742 90.00 90.00 90.00
Last column: nearest neighbours and their distance in Å.
Space group Pbam (No. 55)
Asymmetric unit:
Ta: 0.0160 0.0943 0.0000 x4  6 B 2.34-2.40
Ta: 0.1849 0.7039 0.0000 x4  4 B 2.44-2.72
Ta: 0.1985 0.4952 0.0000 x4  4 B 2.37-2.40
B: 0.1052 0.9963 0.5000 x4  2 B 1.89
B: 0.1115 0.3322 0.0000 x4  6 Ru 2.23-2.26
B: 0.2160 0.0994 0.5000 x4  1 B 1.89
Ru: 0.0161 0.5953 0.5000 x4  3 B 2.26-2.40
Ru: 0.0648 0.2347 0.5000 x4  2 B 2.24
Ru: 0.2189 0.8561 0.5000 x4  3 B 2.23-2.41

---

# 6
Material: Ta3B2Ru5
Method: DFT, GGA-PBE
State: relaxed

Results
Its calculated total energy is -10.059 eV per atom. The calculated formation energy is -5.3 eV per formula unit.

Lattice parameters (Å, degrees): 9.4671 9.4671 3.0151 90.00 90.00 90.00
Last column: nearest neighbours and their distance in Å.
Space group P4/mbm (No. 127)
Asymmetric unit:
Ta: 0.0000 0.0000 0.0000 x2  8 Ru 2.65
Ta: 0.1761 0.3239 0.0000 x4  3 B 2.71-2.86, 10 Ru 2.80-2.96, 2 Ta 3.02
B: 0.1215 0.6215 0.0000 x4  6 Ru 2.19-2.22
Ru: 0.0000 0.5000 0.5000 x2  4 B 2.22
Ru: 0.0713 0.7816 0.5000 x8  2 B 2.19

---

# 7
Material: TbB2Ru3
Method: DFT, GGA-PBE
State: relaxed

Results
Its calculated total energy is -8.104 eV per atom. The calculated formation energy is -2.8 eV per formula unit.

Lattice parameters (Å, degrees): 5.5151 5.5151 3.0405 90.00 90.00 120.00
Last column: nearest neighbours and their distance in Å.
Space group P6/mmm (No. 191)
Asymmetric unit:
Tb: 0.0000 0.0000 0.0000 x1  2 Tb 3.04, 12 Ru 3.15, 6 B 3.18
B: 0.3333 0.6667 0.0000 x2  6 Ru 2.20
Ru: 0.0000 0.5000 0.5000 x3  4 B 2.20

---

# 8
Material: Tb2B6Ru
Method: DFT, GGA-PBE
State: relaxed

Results
Its calculated total energy is -7.165 eV per atom. The calculated formation energy is -5.9 eV per formula unit.

Lattice parameters (Å, degrees): 9.1812 11.5455 3.6870 90.00 90.00 90.00
Last column: nearest neighbours and their distance in Å.
Space group Pbam (No. 55)
Asymmetric unit:
Tb: 0.0559 0.1274 0.0000 x4  12 B 2.62-2.65, 2 Ru 2.86-2.87
Tb: 0.1769 0.4139 0.0000 x4  14 B 2.74-2.82
B: 0.0151 0.2870 0.5000 x4  3 B 1.79-1.89
B: 0.0542 0.5675 0.5000 x4  3 B 1.78-1.85
B: 0.1121 0.9692 0.5000 x4  2 B 1.79-1.82
B: 0.1326 0.8146 0.5000 x4  3 B 1.73-1.79
B: 0.2096 0.2329 0.5000 x4  3 B 1.73-1.89
B: 0.2474 0.5801 0.5000 x4  3 B 1.78-1.82
Ru: 0.1382 0.6788 0.0000 x4  10 B 2.35-2.42

---

# 9
Material: TbB4Ru4
Method: DFT, GGA-PBE
State: relaxed

Results
Its calculated total energy is -8.100 eV per atom. The calculated formation energy is -4.5 eV per formula unit.

Lattice parameters (Å, degrees): 7.4939 7.4939 15.0192 90.00 90.00 90.00
Last column: nearest neighbours and their distance in Å.
Space group I4_1/acd (No. 142, origin choice 2)
Asymmetric unit:
Tb: 0.0000 0.2500 0.1250 x8  12 Ru 2.92-3.23, 12 B 2.95-3.23
B: 0.1387 0.0808 0.2937 x32  1 B 1.79
Ru: 0.1150 0.1013 0.4370 x32  5 B 2.15-2.30

---

# 10
Material: ThB2Ru3
Method: DFT, GGA-PBE
State: relaxed

Results
Its calculated total energy is -8.613 eV per atom. The calculated formation energy is -3.1 eV per formula unit.

Lattice parameters (Å, degrees): 5.5583 5.5583 3.0772 90.00 90.00 120.00
Last column: nearest neighbours and their distance in Å.
Space group P6/mmm (No. 191)
Asymmetric unit:
Th: 0.0000 0.0000 0.0000 x1  2 Th 3.08, 12 Ru 3.18, 6 B 3.21
B: 0.3333 0.6667 0.0000 x2  6 Ru 2.22
Ru: 0.0000 0.5000 0.5000 x3  4 B 2.22

---

# 11
Material: ThB4Ru4
Method: DFT, GGA-PBE
State: relaxed

Results
Its calculated total energy is -8.467 eV per atom. The calculated formation energy is -5.0 eV per formula unit.

Lattice parameters (Å, degrees): 7.5761 7.5761 15.2414 90.00 90.00 90.00
Last column: nearest neighbours and their distance in Å.
Space group I4_1/acd (No. 142, origin choice 2)
Asymmetric unit:
Th: 0.0000 0.2500 0.1250 x8  12 Ru 2.97-3.26, 12 B 3.02-3.22
B: 0.1460 0.0827 0.2927 x32  1 B 1.81
Ru: 0.1144 0.1048 0.4364 x32  5 B 2.16-2.31

---

# 12
Material: YThB4Ru6
Method: DFT, GGA-PBE
State: relaxed

Results
Its calculated total energy is -8.509 eV per atom. The calculated formation energy is -5.9 eV per formula unit.

Lattice parameters (Å, degrees): 3.0524 5.5471 9.5780 90.00 90.00 90.00
Last column: nearest neighbours and their distance in Å.
Space group Pmmm (No. 47)
Asymmetric unit:
Y: 0.0000 0.0000 0.0000 x1  2 Y 3.05, 12 Ru 3.11-3.17, 6 B 3.20-3.21
Th: 0.0000 0.5000 0.5000 x1  2 Th 3.05, 12 Ru 3.17-3.21, 6 B 3.18-3.20
B: 0.0000 0.0000 0.3340 x2  6 Ru 2.20-2.21
B: 0.0000 0.5000 0.1683 x2  6 Ru 2.21-2.22
Ru: 0.5000 0.0000 0.5000 x1  4 B 2.20
Ru: 0.5000 0.2448 0.2449 x4  4 B 2.21
Ru: 0.5000 0.5000 0.0000 x1  4 B 2.22

---

# 13
Material: TmB2Ru3
Method: DFT, GGA-PBE
State: relaxed

Results
Its calculated total energy is -8.095 eV per atom. The calculated formation energy is -2.9 eV per formula unit.

Lattice parameters (Å, degrees): 5.4856 5.4856 3.0313 90.00 90.00 120.00
Last column: nearest neighbours and their distance in Å.
Space group P6/mmm (No. 191)
Asymmetric unit:
Tm: 0.0000 0.0000 0.0000 x1  2 Tm 3.03, 12 Ru 3.13, 6 B 3.17
B: 0.3333 0.6667 0.0000 x2  6 Ru 2.19
Ru: 0.0000 0.5000 0.5000 x3  4 B 2.19

---

# 14
Material: TmB2Ru
Method: DFT, GGA-PBE
State: relaxed

Results
Its calculated total energy is -7.429 eV per atom. The calculated formation energy is -2.6 eV per formula unit.

Lattice parameters (Å, degrees): 5.8578 5.2866 6.3144 90.00 90.00 90.00
Last column: nearest neighbours and their distance in Å.
Space group Pnma (No. 62)
Asymmetric unit:
Tm: 0.0113 0.2500 0.1644 x4  6 B 2.59-2.68
B: 0.1331 0.5839 0.4633 x8  2 B 1.76-1.85
Ru: 0.1819 0.2500 0.6818 x4  6 B 2.24-2.26